MgH6N2Cl2 | PBE-GGA | relaxed

Calculated values
formation enthalpy at 0 K = -0.938 eV per atom
energy above the lowest structure with this stoichiometry = 0.003 eV/atom
MP2020-corrected energy = -4.79 eV per atom
mass density = 1.5 g cm⁻³
SG = No. 5

a b c (Å): 6.0952 6.0952 3.7487
angles (deg): 92.39 92.39 91.93
Last column: nearest neighbours and their distance in Å.
Atoms (fractional coordinates):
Mg  0.0000  0.0000  0.0000  2 N 2.18
H  0.2046  0.3920  0.2017  1 N 1.03
H  0.2776  0.3331  0.7987  1 N 1.02
H  0.4022  0.2187  0.1350  1 N 1.03
H  0.6080  0.7954  0.7983  1 N 1.03
H  0.6669  0.7224  0.2013  1 N 1.02
H  0.7813  0.5978  0.8650  1 N 1.03
N  0.2512  0.2643  0.0375  3 H 1.02-1.03
N  0.7357  0.7488  0.9625  3 H 1.02-1.03
Cl  0.2006  0.7994  0.5000  2 Mg 2.57, 2 H 2.68
Cl  0.7959  0.2041  0.5000  2 Mg 2.59, 2 H 2.72